MgBi4O9 | the Materials Project database | PBE | optimized geometry; volume = 420 Å³/cell; formation energy from the elements = -1649.8 meV per atom; total magnetic moment = 0.00 μB per cell; uncorrected energy = -5.615 eV/atom
1.0
8.244 0.000 0.000
0.000 5.738 0.000
-7.146 0.000 8.878
Mg Bi O
2 8 18
Direct
0.000 0.212 0.250
0.000 0.788 0.750
0.207 0.185 0.064
0.207 0.815 0.564
0.380 0.274 0.857
0.380 0.726 0.357
0.620 0.274 0.643
0.620 0.726 0.143
0.793 0.185 0.436
0.793 0.815 0.936
0.117 0.137 0.620
0.117 0.863 0.120
0.179 0.377 0.207
0.179 0.623 0.707
0.254 0.014 0.424
0.254 0.986 0.924
0.308 0.457 0.997
0.308 0.543 0.497
0.500 0.030 0.250
0.500 0.970 0.750
0.692 0.457 0.503
0.692 0.543 0.003
0.746 0.014 0.076
0.746 0.986 0.576
0.821 0.377 0.293
0.821 0.623 0.793
0.883 0.137 0.880
0.883 0.863 0.380


Ca3Cu2O6 | the Materials Project database | PBE | optimized geometry; volume = 152 Å³/cell; formation energy from the elements = -2159.0 meV per atom; total magnetic moment = 0.05 μB per cell; uncorrected energy = -5.775 eV/atom
1.0
6.298 -1.853 0.000
6.298 1.853 0.000
-1.846 0.000 6.524
Ca Cu O
3 2 6
Direct
0.000 0.000 0.000
0.001 0.001 0.520
0.307 0.307 0.167
0.665 0.665 0.355
0.671 0.671 0.833
0.145 0.145 0.314
0.149 0.149 0.853
0.505 0.505 0.273
0.515 0.515 0.756
0.814 0.814 0.385
0.819 0.819 0.954


K2MgSi5O12 | the Materials Project database | PBE | optimized geometry; volume = 2446 Å³/cell; formation energy from the elements = -3121.7 meV per atom; total magnetic moment = 0.02 μB per cell; uncorrected energy = -7.226 eV/atom
1.0
13.357 0.000 0.000
0.000 13.836 0.000
-0.411 0.000 13.234
K Mg Si O
16 8 40 96
Direct
0.115 0.111 0.095
0.115 0.389 0.595
0.146 0.632 0.854
0.146 0.868 0.354
0.368 0.140 0.875
0.368 0.360 0.375
0.371 0.604 0.148
0.371 0.896 0.648
0.629 0.104 0.352
0.629 0.396 0.852
0.632 0.640 0.625
0.632 0.860 0.125
0.854 0.132 0.646
0.854 0.368 0.146
0.885 0.611 0.405
0.885 0.889 0.905
0.185 0.565 0.369
0.185 0.935 0.869
0.357 0.070 0.389
0.357 0.430 0.889
0.643 0.570 0.111
0.643 0.930 0.611
0.815 0.065 0.131
0.815 0.435 0.631
0.094 0.151 0.813
0.094 0.349 0.313
0.099 0.611 0.136
0.099 0.889 0.636
0.109 0.680 0.568
0.109 0.820 0.068
0.131 0.138 0.376
0.131 0.362 0.876
0.150 0.096 0.597
0.150 0.404 0.097
0.323 0.598 0.650
0.323 0.902 0.150
0.356 0.185 0.597
0.356 0.315 0.097
0.393 0.111 0.163
0.393 0.389 0.663
0.409 0.640 0.448
0.409 0.860 0.948
0.424 0.643 0.869
0.424 0.857 0.369
0.576 0.143 0.631
0.576 0.357 0.131
0.591 0.140 0.052
0.591 0.360 0.552
0.607 0.611 0.337
0.607 0.889 0.837
0.644 0.685 0.903
0.644 0.815 0.403
0.677 0.098 0.850
0.677 0.402 0.350
0.850 0.596 0.903
0.850 0.904 0.403
0.869 0.638 0.124
0.869 0.862 0.624
0.891 0.180 0.932
0.891 0.320 0.432
0.901 0.111 0.364
0.901 0.389 0.864
0.906 0.651 0.687
0.906 0.849 0.187
0.019 0.101 0.335
0.019 0.399 0.835
0.023 0.659 0.652
0.023 0.841 0.152
0.079 0.130 0.690
0.079 0.370 0.190
0.092 0.629 0.462
0.092 0.871 0.962
0.116 0.701 0.055
0.116 0.799 0.555
0.123 0.164 0.499
0.123 0.336 0.999
0.127 0.516 0.065
0.127 0.984 0.565
0.150 0.243 0.321
0.150 0.257 0.821
0.157 0.074 0.877
0.157 0.426 0.377
0.171 0.618 0.234
0.171 0.882 0.734
0.212 0.642 0.629
0.212 0.858 0.129
0.214 0.060 0.350
0.214 0.440 0.850
0.268 0.108 0.634
0.268 0.392 0.134
0.315 0.019 0.137
0.315 0.481 0.637
0.322 0.208 0.139
0.322 0.292 0.639
0.330 0.568 0.396
0.330 0.932 0.896
0.356 0.633 0.763
0.356 0.867 0.263
0.371 0.183 0.478
0.371 0.317 0.978
0.389 0.747 0.914
0.389 0.753 0.414
0.397 0.557 0.944
0.397 0.943 0.444
0.405 0.642 0.573
0.405 0.858 0.073
0.440 0.105 0.274
0.440 0.395 0.774
0.457 0.149 0.664
0.457 0.351 0.164
0.475 0.110 0.072
0.475 0.390 0.572
0.525 0.610 0.428
0.525 0.890 0.928
0.543 0.649 0.836
0.543 0.851 0.336
0.560 0.605 0.226
0.560 0.895 0.726
0.595 0.142 0.927
0.595 0.358 0.427
0.603 0.057 0.556
0.603 0.443 0.056
0.611 0.247 0.586
0.611 0.253 0.086
0.629 0.683 0.022
0.629 0.817 0.522
0.644 0.133 0.737
0.644 0.367 0.237
0.670 0.068 0.104
0.670 0.432 0.604
0.678 0.708 0.361
0.678 0.792 0.861
0.685 0.519 0.363
0.685 0.981 0.863
0.732 0.608 0.866
0.732 0.892 0.366
0.786 0.560 0.150
0.786 0.940 0.650
0.788 0.142 0.871
0.788 0.358 0.371
0.829 0.118 0.266
0.829 0.382 0.766
0.843 0.574 0.623
0.843 0.926 0.123
0.850 0.743 0.179
0.850 0.757 0.679
0.873 0.016 0.435
0.873 0.484 0.935
0.877 0.664 0.001
0.877 0.836 0.501
0.884 0.201 0.445
0.884 0.299 0.945
0.908 0.129 0.038
0.908 0.371 0.538
0.921 0.630 0.810
0.921 0.870 0.310
0.977 0.159 0.848
0.977 0.341 0.348
0.981 0.601 0.165
0.981 0.899 0.665


K3P6S6N7 | the Materials Project database | PBE | optimized geometry; volume = 2291 Å³/cell; formation energy from the elements = -802.9 meV per atom; total magnetic moment = 0.00 μB per cell; uncorrected energy = -5.959 eV/atom
1.0
5.688 3.284 20.443
-5.688 3.284 20.443
0.000 -6.567 20.443
K P S N
12 24 24 28
Direct
0.016 0.540 0.544
0.040 0.516 0.044
0.044 0.040 0.516
0.456 0.984 0.460
0.460 0.456 0.984
0.484 0.956 0.960
0.516 0.044 0.040
0.540 0.544 0.016
0.544 0.016 0.540
0.956 0.960 0.484
0.960 0.484 0.956
0.984 0.460 0.456
0.041 0.061 0.787
0.061 0.787 0.041
0.114 0.177 0.738
0.177 0.738 0.114
0.213 0.959 0.939
0.238 0.677 0.614
0.262 0.886 0.823
0.287 0.561 0.541
0.323 0.386 0.762
0.386 0.762 0.323
0.439 0.459 0.713
0.459 0.713 0.439
0.541 0.287 0.561
0.561 0.541 0.287
0.614 0.238 0.677
0.677 0.614 0.238
0.713 0.439 0.459
0.738 0.114 0.177
0.762 0.323 0.386
0.787 0.041 0.061
0.823 0.262 0.886
0.886 0.824 0.262
0.939 0.213 0.959
0.959 0.939 0.213
0.015 0.845 0.325
0.037 0.754 0.724
0.155 0.675 0.985
0.175 0.655 0.485
0.224 0.254 0.537
0.246 0.276 0.963
0.254 0.537 0.224
0.276 0.963 0.246
0.325 0.015 0.845
0.345 0.515 0.825
0.463 0.776 0.746
0.485 0.175 0.655
0.515 0.825 0.345
0.537 0.224 0.254
0.655 0.485 0.175
0.675 0.985 0.155
0.724 0.037 0.754
0.746 0.463 0.776
0.754 0.724 0.037
0.776 0.746 0.463
0.825 0.345 0.515
0.845 0.325 0.015
0.963 0.246 0.276
0.985 0.155 0.675
0.008 0.826 0.205
0.033 0.260 0.796
0.039 0.039 0.039
0.174 0.795 0.992
0.204 0.967 0.740
0.205 0.008 0.826
0.240 0.467 0.704
0.260 0.796 0.033
0.295 0.674 0.492
0.296 0.760 0.533
0.326 0.508 0.705
0.461 0.461 0.461
0.467 0.704 0.240
0.492 0.295 0.674
0.508 0.705 0.326
0.533 0.296 0.760
0.539 0.539 0.539
0.674 0.492 0.295
0.704 0.240 0.467
0.705 0.326 0.508
0.740 0.204 0.967
0.760 0.533 0.296
0.795 0.992 0.174
0.796 0.033 0.260
0.826 0.205 0.008
0.961 0.961 0.961
0.967 0.740 0.204
0.992 0.174 0.795